Model a:
ThP4O12 | PBE | relaxed

POSCAR file:
```
ThP4O12
1.0
5.779 -4.070 0.000
5.779 4.070 0.000
-1.266 0.000 12.676
Th P O
2 8 24
Cartesian
4.830 3.904 9.507 Th
5.463 -3.904 3.169 Th
3.941 2.176 6.165 P
3.180 1.355 2.480 P
6.985 2.176 0.173 P
2.548 -1.355 8.817 P
7.745 1.355 3.858 P
3.308 -2.176 12.503 P
7.113 -1.355 10.196 P
6.352 -2.176 6.511 P
1.685 1.359 2.640 O
3.801 2.717 2.293 O
4.491 2.987 5.035 O
4.301 2.634 7.541 O
6.435 2.987 1.303 O
3.176 0.941 5.894 O
5.359 2.634 11.473 O
7.124 2.717 4.045 O
1.052 -1.359 8.978 O
3.970 0.121 2.434 O
3.338 -0.121 8.772 O
2.544 -0.941 12.231 O
7.749 0.941 0.444 O
6.955 0.121 3.903 O
6.322 -0.121 10.241 O
9.241 1.359 3.698 O
3.168 -2.717 8.631 O
4.934 -2.634 1.203 O
7.116 -0.941 6.782 O
3.858 -2.987 11.373 O
5.992 -2.634 5.135 O
5.802 -2.987 7.641 O
6.492 -2.717 10.383 O
8.608 -1.359 10.036 O
```

magnetic moment = 0.00 μB/f.u.
space group = No. 15


Model b:
ThP4O12 | PBE | relaxed

POSCAR file:
```
ThP4O12
1.0
8.348 0.000 0.000
4.149 7.880 0.000
3.927 1.255 14.244
Th P O
4 16 48
Cartesian
1.878 1.412 1.569 Th
6.013 3.071 5.582 Th
10.411 6.063 8.662 Th
14.546 7.723 12.675 Th
4.915 3.587 9.135 P
2.783 1.083 5.249 P
7.007 6.500 7.041 P
5.041 1.044 10.594 P
5.298 5.725 0.296 P
7.415 4.630 10.630 P
5.174 3.130 1.768 P
7.280 2.150 12.352 P
9.145 6.985 1.892 P
11.250 6.005 12.476 P
9.009 4.505 3.614 P
11.126 3.410 13.948 P
11.383 8.091 3.650 P
9.417 2.635 7.203 P
13.641 8.052 8.995 P
11.509 5.548 5.109 P
4.069 4.365 4.941 O
6.371 7.007 8.431 O
4.426 2.493 10.216 O
2.446 0.889 3.801 O
6.726 5.685 11.424 O
6.502 7.612 6.000 O
8.316 8.337 11.651 O
7.966 6.575 13.832 O
5.351 7.072 0.941 O
5.034 2.961 7.776 O
3.710 2.943 1.491 O
6.339 2.609 13.428 O
6.323 5.227 6.645 O
4.183 1.476 5.598 O
6.405 3.910 9.613 O
5.662 4.626 1.417 O
9.419 8.129 9.337 O
6.490 1.410 11.164 O
8.498 6.502 7.195 O
7.896 3.417 11.569 O
5.679 2.828 3.143 O
7.996 7.864 1.518 O
8.615 5.009 9.808 O
10.494 6.909 13.566 O
5.930 2.226 0.678 O
7.809 4.126 4.436 O
8.428 1.271 12.726 O
10.746 6.306 11.101 O
8.528 5.718 2.675 O
7.926 2.633 7.049 O
9.934 7.725 3.079 O
7.005 1.006 4.907 O
10.762 4.509 12.827 O
10.019 5.225 4.630 O
12.241 7.659 8.646 O
10.101 3.908 7.599 O
10.086 6.526 0.816 O
12.714 6.192 12.753 O
11.390 6.174 6.468 O
11.073 2.063 13.303 O
8.458 2.560 0.412 O
8.108 0.798 2.593 O
9.923 1.523 8.244 O
9.698 3.450 2.820 O
13.978 8.246 10.443 O
11.998 6.642 4.027 O
10.053 2.128 5.812 O
12.355 4.770 9.303 O
```

magnetic moment = 0.00 μB/f.u.
space group = No. 2


Model c:
ThP4O12 | PBE | relaxed

POSCAR file:
```
ThP4O12
1.0
6.877 0.000 0.000
0.000 14.850 0.000
-2.473 0.000 11.896
Th P O
4 16 48
Cartesian
-0.182 2.170 2.235 Th
-1.419 5.255 8.183 Th
5.823 9.595 3.713 Th
4.586 12.680 9.661 Th
-1.442 1.472 8.081 P
-0.206 5.953 2.133 P
0.133 2.833 5.896 P
-1.103 4.592 11.844 P
1.041 7.517 6.220 P
2.277 14.758 0.273 P
2.553 9.453 2.640 P
1.317 12.823 8.588 P
3.087 2.028 3.307 P
1.851 5.398 9.255 P
2.127 0.092 11.623 P
3.363 7.333 5.675 P
5.507 10.258 0.052 P
4.271 12.017 6.000 P
4.610 8.897 9.763 P
5.846 13.378 3.815 P
-1.803 0.184 8.691 O
-0.567 7.241 2.743 O
-1.841 10.200 9.198 O
-0.605 12.076 3.250 O
0.460 3.443 0.432 O
-0.776 3.982 6.380 O
-0.291 2.357 4.508 O
-1.527 5.068 10.455 O
-0.576 1.444 6.830 O
0.660 5.981 0.882 O
0.119 8.436 5.482 O
-1.117 13.839 11.430 O
1.241 9.830 3.267 O
0.005 12.445 9.215 O
1.656 0.726 1.367 O
0.420 6.699 7.315 O
1.959 2.971 2.990 O
0.723 4.454 8.938 O
1.563 2.864 6.251 O
2.799 4.561 0.303 O
0.728 0.805 11.124 O
1.964 6.620 5.176 O
2.699 8.257 1.804 O
1.463 14.018 7.752 O
2.941 0.832 4.144 O
1.705 6.593 10.092 O
2.440 8.230 6.719 O
3.676 14.045 0.771 O
1.605 10.289 11.593 O
2.841 11.986 5.645 O
3.681 10.396 2.958 O
2.445 11.879 8.906 O
3.984 8.151 4.581 O
2.748 14.124 10.528 O
4.399 2.405 2.680 O
3.163 5.020 8.628 O
5.521 1.011 0.466 O
4.285 6.414 6.413 O
3.744 8.869 11.014 O
4.980 13.406 5.066 O
5.931 9.782 1.440 O
4.695 12.493 7.388 O
5.180 10.869 5.516 O
3.944 11.407 11.464 O
5.009 2.775 8.646 O
6.245 4.650 2.698 O
4.971 7.609 9.153 O
6.207 14.666 3.205 O
```

magnetic moment = 0.00 μB/f.u.
space group = No. 14


What is the stability order? It is model b, model c, model a, from most stable to least stable.


Model a:
Tl2PO4 | PBE | relaxed

POSCAR file:
```
Tl2PO4
1.0
7.689 0.000 0.000
0.000 5.765 0.000
0.000 0.000 10.273
Tl P O
8 4 16
Cartesian
0.117 1.441 2.002 Tl
1.209 4.324 4.248 Tl
2.635 1.441 9.385 Tl
3.727 4.324 7.138 Tl
3.962 1.441 3.135 Tl
5.054 4.324 0.889 Tl
6.480 1.441 6.025 Tl
7.572 4.324 8.272 Tl
1.469 4.324 0.806 P
2.376 1.441 5.943 P
5.313 4.324 4.330 P
6.220 1.441 9.467 P
0.067 1.441 9.454 O
1.836 0.141 6.650 O
1.836 2.741 6.650 O
1.873 1.441 4.438 O
1.971 4.324 9.574 O
2.008 3.023 1.513 O
2.008 5.624 1.513 O
3.777 4.324 4.317 O
3.912 1.441 5.956 O
5.681 0.141 8.760 O
5.681 2.741 8.760 O
5.718 1.441 0.699 O
5.816 4.324 5.835 O
5.853 3.023 3.624 O
5.853 5.624 3.624 O
7.622 4.324 0.819 O
```

magnetic moment = 0.00 μB/f.u.
space group = No. 62


Model b:
Tl2PO4 | PBE | relaxed

POSCAR file:
```
Tl2PO4
1.0
5.505 0.000 0.000
0.000 6.393 0.000
-3.329 0.000 17.061
Tl P O
8 4 16
Cartesian
0.000 0.475 0.000 Tl
-1.665 5.918 8.531 Tl
-1.666 2.559 14.520 Tl
-0.002 3.834 5.989 Tl
0.520 2.683 9.959 Tl
2.185 3.710 1.428 Tl
2.261 0.970 4.621 Tl
0.596 5.422 13.152 Tl
-0.666 0.569 3.647 P
-2.330 5.823 12.178 P
2.748 2.623 7.646 P
1.084 3.769 16.177 P
-1.235 2.704 7.940 O
-2.900 3.689 16.471 O
0.333 0.053 2.626 O
-1.331 6.339 11.156 O
0.170 1.132 4.903 O
-1.494 5.261 13.434 O
0.323 2.490 16.629 O
1.988 3.902 8.098 O
2.102 1.366 8.284 O
0.437 5.026 16.814 O
2.590 2.591 6.050 O
0.926 3.801 14.580 O
3.873 1.711 3.176 O
2.208 4.682 11.706 O
2.184 0.526 12.791 O
3.849 5.867 4.261 O
```

magnetic moment = 0.00 μB/f.u.
space group = No. 7


What is the stability order? It is model b, model a, from most stable to least stable.


Model a:
Zr2P4O17 | PBE | relaxed

POSCAR file:
```
Zr2P4O17
1.0
4.737 -2.747 0.000
4.737 2.747 0.000
-4.198 0.000 14.844
Zr P O
2 4 17
Cartesian
1.321 0.000 3.716 Zr
3.956 0.000 11.128 Zr
-2.359 -0.019 12.818 P
0.800 -0.037 9.446 P
4.476 -0.037 5.397 P
7.636 -0.019 2.026 P
-1.490 1.148 12.314 O
-0.389 0.145 2.521 O
2.332 1.394 2.553 O
0.236 1.295 9.973 O
-2.318 0.007 14.371 O
0.770 0.072 7.900 O
2.944 1.394 12.290 O
5.041 1.295 4.871 O
3.032 -0.231 4.912 O
-0.057 -1.211 9.942 O
2.244 -0.231 9.932 O
6.767 1.148 2.529 O
4.737 -0.719 0.000 O
4.506 0.072 6.944 O
7.595 0.007 0.473 O
5.334 -1.211 4.901 O
5.666 0.145 12.323 O
```

magnetic moment = 6.00 μB/f.u.
space group = No. 5


Model b:
Zr2P4O17 | PBE | relaxed

POSCAR file:
```
Zr2P4O17
1.0
8.105 0.000 0.000
0.000 5.484 0.000
-3.711 0.000 8.765
Zr P O
2 4 17
Cartesian
0.000 0.000 0.000 Zr
-1.856 2.742 4.383 Zr
-0.900 0.000 6.508 P
0.952 2.742 2.131 P
5.293 0.000 2.257 P
3.441 2.742 6.634 P
-1.108 1.255 5.635 O
-1.108 4.229 5.635 O
-0.095 2.742 3.261 O
0.764 1.485 1.265 O
0.764 3.999 1.265 O
-1.934 0.000 7.650 O
0.525 0.000 7.110 O
2.369 2.742 2.746 O
2.197 0.000 4.383 O
3.868 0.000 1.655 O
2.025 2.742 6.019 O
6.327 0.000 1.115 O
3.630 1.485 7.500 O
3.630 3.999 7.500 O
4.488 2.742 5.504 O
5.501 1.255 3.130 O
5.501 4.229 3.130 O
```

magnetic moment = 6.00 μB/f.u.
space group = No. 10


What is the stability order? It is model a, model b, from most stable to least stable.


Model a:
Pb3O4 | PBE | relaxed

POSCAR file:
```
Pb3O4
1.0
8.722 0.000 0.000
0.000 9.329 0.000
0.000 0.000 6.781
Pb O
12 16
Cartesian
0.000 0.000 1.690 Pb
0.000 0.000 5.091 Pb
1.157 3.035 3.391 Pb
1.381 6.127 0.000 Pb
2.980 1.463 0.000 Pb
3.204 7.700 3.391 Pb
4.361 4.665 1.690 Pb
4.361 4.665 5.091 Pb
5.518 1.629 3.391 Pb
5.742 7.867 0.000 Pb
7.341 3.202 0.000 Pb
7.566 6.294 3.391 Pb
0.854 8.129 3.391 O
1.216 8.481 0.000 O
1.494 1.594 1.690 O
1.494 1.594 5.092 O
2.867 6.259 1.690 O
2.867 6.259 5.092 O
3.146 3.816 0.000 O
3.507 3.464 3.391 O
5.215 5.866 3.391 O
5.577 5.513 0.000 O
5.855 3.070 1.690 O
5.855 3.070 5.092 O
7.228 7.735 1.690 O
7.228 7.735 5.092 O
7.507 0.848 0.000 O
7.868 1.201 3.391 O
```

space group = No. 55


Model b:
Pb3O4 | PBE | relaxed

POSCAR file:
```
Pb3O4
1.0
6.909 0.000 0.000
0.000 10.125 0.000
0.000 0.000 3.497
Pb O
6 8
Cartesian
0.000 0.000 0.000 Pb
0.123 3.109 1.749 Pb
3.332 8.171 1.749 Pb
3.455 5.062 0.000 Pb
3.577 1.954 1.749 Pb
6.787 7.016 1.749 Pb
1.032 8.186 0.000 O
1.148 0.892 1.749 O
2.307 5.954 1.749 O
2.422 3.124 0.000 O
4.487 7.001 0.000 O
4.603 4.171 1.749 O
5.762 9.233 1.749 O
5.877 1.939 0.000 O
```

space group = No. 55


What is the stability order? It is model a, model b, from most stable to least stable.